# 1
Density functional theory data (PBE) for a relaxed AgRuO3 crystal.

Cell lengths 7.2146, 7.2146, 7.2146 Å; angles 60.00, 60.00, 60.00 degrees
Atoms (fractional coordinates):
1 Ag 0.6250 0.1250 0.1250
2 Ag 0.1250 0.1250 0.1250
3 Ag 0.1250 0.6250 0.1250
4 Ag 0.1250 0.1250 0.6250
5 Ru 0.6250 0.6250 0.1250
6 Ru 0.6250 0.6250 0.6250
7 Ru 0.6250 0.1250 0.6250
8 Ru 0.1250 0.6250 0.6250
9 O 0.9467 0.5533 0.5533
10 O 0.6967 0.6967 0.3033
11 O 0.6967 0.3033 0.3033
12 O 0.9467 0.5533 0.9467
13 O 0.9467 0.9467 0.5533
14 O 0.5533 0.9467 0.5533
15 O 0.6967 0.3033 0.6967
16 O 0.3033 0.6967 0.3033
17 O 0.3033 0.3033 0.6967
18 O 0.5533 0.9467 0.9467
19 O 0.5533 0.5533 0.9467
20 O 0.3033 0.6967 0.6967

Results
The formation energy is -0.996 eV per atom. As for the energy with MP2020 corrections: -0.46937 Ry per atom. As for the crystal system: cubic.


# 2
Density functional theory data (PBE) for a relaxed Ag2S2O7 crystal.

Cell lengths 6.9467, 7.0223, 7.0855 Å; angles 63.53, 86.67, 86.26 degrees
Atoms (fractional coordinates):
1 Ag 0.1277 0.7977 0.2147
2 Ag 0.8723 0.2023 0.7853
3 Ag 0.6432 0.7807 0.5818
4 Ag 0.3568 0.2193 0.4182
5 S 0.1399 0.7168 0.7238
6 S 0.8601 0.2832 0.2762
7 S 0.3591 0.3006 0.8757
8 S 0.6409 0.6994 0.1243
9 O 0.9819 0.6510 0.6410
10 O 0.0181 0.3490 0.3590
11 O 0.2903 0.8170 0.5576
12 O 0.7097 0.1830 0.4424
13 O 0.0836 0.8334 0.8451
14 O 0.9164 0.1666 0.1549
15 O 0.2390 0.4990 0.9096
16 O 0.7610 0.5010 0.0904
17 O 0.3702 0.1411 0.0945
18 O 0.6298 0.8589 0.9055
19 O 0.2366 0.2492 0.7445
20 O 0.7634 0.7508 0.2555
21 O 0.5436 0.3873 0.7729
22 O 0.4564 0.6127 0.2271

Results
The formation energy is -1.408 eV per atom. As for the energy with MP2020 corrections: -0.42801 Ry per atom. As for the crystal system: triclinic.


# 3
Density functional theory data (PBE) for a relaxed Ag2SO2 crystal.

Cell lengths 6.5433, 6.5433, 10.1285 Å; angles 104.24, 104.24, 103.81 degrees
Atoms (fractional coordinates):
1 Ag 0.4457 0.1870 0.7148
2 Ag 0.2691 0.5278 0.7148
3 Ag 0.8130 0.5543 0.2852
4 Ag 0.8043 0.5630 0.7852
5 Ag 0.4722 0.7309 0.2852
6 Ag 0.9809 0.2222 0.7852
7 Ag 0.4370 0.1957 0.2148
8 Ag 0.7778 0.0191 0.2148
9 S 0.6250 0.8750 0.7500
10 S 0.1250 0.8750 0.7500
11 S 0.1250 0.3750 0.2500
12 S 0.1250 0.8750 0.2500
13 O 0.6814 0.9484 0.9142
14 O 0.2328 0.9658 0.9142
15 O 0.0516 0.3186 0.0858
16 O 0.5686 0.8016 0.5858
17 O 0.0342 0.7672 0.0858
18 O 0.0172 0.7842 0.5858
19 O 0.1984 0.4314 0.4142
20 O 0.2158 0.9828 0.4142

Results
The formation energy is -0.123 eV per atom. As for the energy with MP2020 corrections: -0.29861 Ry per atom. As for the crystal system: orthorhombic.


# 4
Density functional theory data (PBE) for a relaxed Ag2SnS6O21 crystal.

Cell lengths 10.6134, 16.9907, 16.9907 Å; angles 120.00, 90.00, 90.00 degrees
Atoms (fractional coordinates):
1 Ag 0.4362 0.9973 0.6360
2 Ag 0.4362 0.3640 0.3613
3 Ag 0.4362 0.6387 0.0027
4 Ag 0.5638 0.0027 0.3640
5 Ag 0.5638 0.6360 0.6387
6 Ag 0.5638 0.3613 0.9973
7 Ag 0.9233 0.0109 0.6969
8 Ag 0.9233 0.3031 0.3140
9 Ag 0.9233 0.6860 0.9891
10 Ag 0.0767 0.9891 0.3031
11 Ag 0.0767 0.6969 0.6860
12 Ag 0.0767 0.3140 0.0109
13 Sn 0.2180 0.6667 0.3333
14 Sn 0.7820 0.3333 0.6667
15 Sn 0.2753 0.3333 0.6667
16 Sn 0.7247 0.6667 0.3333
17 Sn 0.7435 0.0000 0.0000
18 Sn 0.2565 0.0000 0.0000
19 S 0.1651 0.5172 0.8419
20 S 0.1651 0.1581 0.6753
21 S 0.1650 0.3247 0.4828
22 S 0.8349 0.4828 0.1581
23 S 0.8349 0.8419 0.3247
24 S 0.8350 0.6753 0.5172
25 S 0.1425 0.6471 0.1397
26 S 0.1425 0.8603 0.5074
27 S 0.1425 0.4926 0.3529
28 S 0.8575 0.3529 0.8603
29 S 0.8575 0.1397 0.4926
30 S 0.8575 0.5074 0.6471
31 S 0.3122 0.5066 0.1264
32 S 0.3122 0.8736 0.3802
33 S 0.3122 0.6198 0.4934
34 S 0.6878 0.4934 0.8736
35 S 0.6878 0.1264 0.6198
36 S 0.6878 0.3802 0.5066
37 S 0.8324 0.1478 0.9371
38 S 0.8324 0.0629 0.2107
39 S 0.8324 0.7893 0.8522
40 S 0.1676 0.8522 0.0629
41 S 0.1676 0.9371 0.7893
42 S 0.1676 0.2107 0.1478
43 S 0.3687 0.5456 0.7448
44 S 0.3687 0.2552 0.8007
45 S 0.3687 0.1993 0.4544
46 S 0.6313 0.4544 0.2552
47 S 0.6313 0.7448 0.1993
48 S 0.6313 0.8007 0.5456
49 S 0.6536 0.0079 0.8220
50 S 0.6536 0.1780 0.1859
51 S 0.6536 0.8141 0.9921
52 S 0.3464 0.9921 0.1780
53 S 0.3464 0.8220 0.8141
54 S 0.3464 0.1859 0.0079
55 O 0.1074 0.6773 0.2381
56 O 0.1074 0.7619 0.4392
57 O 0.1074 0.5608 0.3227
58 O 0.8926 0.3227 0.7619
59 O 0.8926 0.2381 0.5608
60 O 0.8926 0.4392 0.6773
61 O 0.1579 0.4155 0.7749
62 O 0.1579 0.2251 0.6406
63 O 0.1579 0.3594 0.5845
64 O 0.8421 0.5845 0.2251
65 O 0.8421 0.7749 0.3594
66 O 0.8421 0.6406 0.4155
67 O 0.8581 0.0812 0.9707
68 O 0.8581 0.0293 0.1106
69 O 0.8581 0.8894 0.9188
70 O 0.1419 0.9188 0.0293
71 O 0.1419 0.9707 0.8894
72 O 0.1419 0.1106 0.0812
73 O 0.2188 0.5581 0.7779
74 O 0.2188 0.2221 0.7801
75 O 0.2188 0.2199 0.4420
76 O 0.7812 0.4419 0.2221
77 O 0.7812 0.7779 0.2199
78 O 0.7812 0.7801 0.5580
79 O 0.3321 0.5758 0.2264
80 O 0.3321 0.7736 0.3494
81 O 0.3321 0.6506 0.4242
82 O 0.6679 0.4242 0.7736
83 O 0.6679 0.2264 0.6506
84 O 0.6679 0.3494 0.5758
85 O 0.6284 0.9785 0.8919
86 O 0.6284 0.1081 0.0866
87 O 0.6284 0.9134 0.0215
88 O 0.3716 0.0215 0.1081
89 O 0.3716 0.8919 0.9134
90 O 0.3716 0.0866 0.9785
91 O 0.6925 0.1159 0.8866
92 O 0.6925 0.1134 0.2293
93 O 0.6925 0.7707 0.8841
94 O 0.3075 0.8841 0.1134
95 O 0.3075 0.8866 0.7707
96 O 0.3075 0.2293 0.1159
97 O 0.7606 0.9611 0.7653
98 O 0.7606 0.2347 0.1958
99 O 0.7606 0.8042 0.0389
100 O 0.2394 0.0389 0.2347
101 O 0.2394 0.7653 0.8042
102 O 0.2394 0.1958 0.9611
103 O 0.5366 0.0111 0.7818
104 O 0.5366 0.2182 0.2293
105 O 0.5366 0.7707 0.9889
106 O 0.4634 0.9889 0.2182
107 O 0.4634 0.7818 0.7707
108 O 0.4634 0.2293 0.0111
109 O 0.3648 0.5701 0.6753
110 O 0.3648 0.3247 0.8948
111 O 0.3648 0.1052 0.4299
112 O 0.6352 0.4299 0.3247
113 O 0.6352 0.6753 0.1052
114 O 0.6352 0.8948 0.5701
115 O 0.2545 0.5378 0.9133
116 O 0.2545 0.0867 0.6245
117 O 0.2545 0.3755 0.4622
118 O 0.7455 0.4622 0.0867
119 O 0.7455 0.9133 0.3755
120 O 0.7455 0.6245 0.5378
121 O 0.2768 0.4181 0.1096
122 O 0.2768 0.8904 0.3085
123 O 0.2768 0.6915 0.5819
124 O 0.7232 0.5819 0.8904
125 O 0.7232 0.1096 0.6915
126 O 0.7232 0.3085 0.4181
127 O 0.2522 0.6929 0.1325
128 O 0.2522 0.8675 0.5604
129 O 0.2522 0.4396 0.3071
130 O 0.7478 0.3071 0.8675
131 O 0.7478 0.1325 0.4396
132 O 0.7478 0.5604 0.6929
133 O 0.1797 0.5396 0.0989
134 O 0.1797 0.9011 0.4407
135 O 0.1797 0.5593 0.4604
136 O 0.8203 0.4604 0.9011
137 O 0.8203 0.0989 0.5593
138 O 0.8203 0.4407 0.5396
139 O 0.4141 0.5138 0.0742
140 O 0.4141 0.9258 0.4396
141 O 0.4141 0.5604 0.4862
142 O 0.5859 0.4862 0.9258
143 O 0.5859 0.0742 0.5604
144 O 0.5859 0.4396 0.5138
145 O 0.0291 0.6420 0.0913
146 O 0.0291 0.9087 0.5507
147 O 0.0291 0.4493 0.3580
148 O 0.9709 0.3580 0.9087
149 O 0.9709 0.0913 0.4493
150 O 0.9709 0.5507 0.6420
151 O 0.0401 0.5537 0.8642
152 O 0.0401 0.1358 0.6895
153 O 0.0401 0.3105 0.4463
154 O 0.9599 0.4463 0.1358
155 O 0.9599 0.8642 0.3105
156 O 0.9599 0.6895 0.5537
157 O 0.3922 0.4443 0.7057
158 O 0.3922 0.2943 0.7386
159 O 0.3922 0.2614 0.5557
160 O 0.6078 0.5557 0.2943
161 O 0.6078 0.7057 0.2614
162 O 0.6078 0.7386 0.4443
163 O 0.9247 0.1347 0.8692
164 O 0.9247 0.1308 0.2654
165 O 0.9247 0.7346 0.8653
166 O 0.0753 0.8653 0.1308
167 O 0.0753 0.8692 0.7346
168 O 0.0753 0.2654 0.1347
169 O 0.8086 0.2386 0.0089
170 O 0.8086 0.9911 0.2297
171 O 0.8086 0.7703 0.7614
172 O 0.1914 0.7614 0.9911
173 O 0.1914 0.0089 0.7703
174 O 0.1914 0.2297 0.2386
175 O 0.4465 0.5976 0.8231
176 O 0.4465 0.1769 0.7745
177 O 0.4465 0.2255 0.4024
178 O 0.5535 0.4024 0.1769
179 O 0.5535 0.8231 0.2255
180 O 0.5535 0.7745 0.5976

Results
The formation energy is -1.618 eV per atom. As for the energy with MP2020 corrections: -0.45796 Ry per atom. As for the crystal system: trigonal.


# 5
Density functional theory data (PBE) for a relaxed Ag4TeSO4 crystal.

Cell lengths 8.9730, 8.9730, 8.9730 Å; angles 90.00, 90.00, 90.00 degrees
Atoms (fractional coordinates):
1 Ag 0.5000 0.0000 0.5000
2 Ag 0.0000 0.5000 0.5000
3 Ag 0.5000 0.5000 0.0000
4 Ag 0.0000 0.0000 0.0000
5 Ag 0.2054 0.9905 0.6126
6 Ag 0.3874 0.7054 0.5095
7 Ag 0.4905 0.8874 0.7946
8 Ag 0.7054 0.5095 0.3874
9 Ag 0.8874 0.7946 0.4905
10 Ag 0.9905 0.6126 0.2054
11 Ag 0.7946 0.4905 0.8874
12 Ag 0.6126 0.2054 0.9905
13 Ag 0.5095 0.3874 0.7054
14 Ag 0.2946 0.0095 0.1126
15 Ag 0.1126 0.2946 0.0095
16 Ag 0.0095 0.1126 0.2946
17 Te 0.8441 0.3441 0.1559
18 Te 0.3441 0.1559 0.8441
19 Te 0.1559 0.8441 0.3441
20 Te 0.6559 0.6559 0.6559
21 S 0.1432 0.6432 0.8568
22 S 0.6432 0.8568 0.1432
23 S 0.8568 0.1432 0.6432
24 S 0.3568 0.3568 0.3568
25 O 0.0697 0.7364 0.9752
26 O 0.0248 0.5697 0.7636
27 O 0.2364 0.5248 0.9303
28 O 0.5697 0.7636 0.0248
29 O 0.5248 0.9303 0.2364
30 O 0.7364 0.9752 0.0697
31 O 0.9303 0.2364 0.5248
32 O 0.9752 0.0697 0.7364
33 O 0.7636 0.0248 0.5697
34 O 0.4303 0.2636 0.4752
35 O 0.4752 0.4303 0.2636
36 O 0.2636 0.4752 0.4303
37 O 0.2388 0.7388 0.7612
38 O 0.7388 0.7612 0.2388
39 O 0.7612 0.2388 0.7388
40 O 0.2612 0.2612 0.2612

Results
The formation energy is -0.929 eV per atom. As for the energy with MP2020 corrections: -0.35054 Ry per atom. As for the crystal system: cubic.


# 6
Density functional theory data (PBE) for a relaxed AgSbO12 crystal.

Cell lengths 7.4382, 7.4382, 7.4382 Å; angles 60.00, 60.00, 60.00 degrees
Atoms (fractional coordinates):
1 Ag 0.0000 0.0000 0.0000
2 Ag 0.2500 0.2500 0.2500
3 Sb 0.5000 0.5000 0.5000
4 Sb 0.7500 0.7500 0.7500
5 O 0.8948 0.2825 0.2825
6 O 0.2825 0.8948 0.5402
7 O 0.2825 0.5402 0.8948
8 O 0.2825 0.8948 0.2825
9 O 0.3552 0.9675 0.7098
10 O 0.3552 0.9675 0.9675
11 O 0.5402 0.2825 0.2825
12 O 0.5402 0.2825 0.8948
13 O 0.9675 0.3552 0.9675
14 O 0.9675 0.3552 0.7098
15 O 0.8948 0.2825 0.5402
16 O 0.9675 0.7098 0.9675
17 O 0.9675 0.7098 0.3552
18 O 0.2825 0.5402 0.2825
19 O 0.7098 0.9675 0.3552
20 O 0.7098 0.9675 0.9675
21 O 0.2825 0.2825 0.8948
22 O 0.5402 0.8948 0.2825
23 O 0.2825 0.2825 0.5402
24 O 0.8948 0.5402 0.2825
25 O 0.7098 0.3552 0.9675
26 O 0.9675 0.9675 0.3552
27 O 0.3552 0.7098 0.9675
28 O 0.9675 0.9675 0.7098

Results
The formation energy is 0.559 eV per atom. The calculation puts the energy above the lowest structure with this stoichiometry at 629.3 meV per atom. As for the energy with MP2020 corrections: -0.30716 Ry per atom. As for the crystal system: cubic.


# 7
Density functional theory data (PBE) for a relaxed AgSbO3 crystal.

Cell lengths 8.1657, 8.1657, 9.5171 Å; angles 55.48, 55.48, 71.24 degrees
Atoms (fractional coordinates):
1 Ag 0.3808 0.9974 0.0004
2 Ag 0.7185 0.0152 0.2681
3 Ag 0.9848 0.2815 0.7319
4 Ag 0.3691 0.0040 0.6331
5 Ag 0.9960 0.6309 0.3669
6 Ag 0.0026 0.6192 0.9996
7 Sb 0.4987 0.4965 0.6638
8 Sb 0.3457 0.3313 0.1578
9 Sb 0.8405 0.1595 0.5000
10 Sb 0.1617 0.8383 0.5000
11 Sb 0.5035 0.5013 0.3362
12 Sb 0.6687 0.6543 0.8422
13 O 0.3846 0.0396 0.2886
14 O 0.3579 0.3635 0.6338
15 O 0.6365 0.6421 0.3662
16 O 0.9953 0.9935 0.3663
17 O 0.0065 0.0047 0.6337
18 O 0.6682 0.6655 0.6232
19 O 0.3366 0.3257 0.9525
20 O 0.0503 0.3799 0.2810
21 O 0.2855 0.7123 0.3301
22 O 0.2877 0.7145 0.6699
23 O 0.7070 0.2794 0.3405
24 O 0.7206 0.2930 0.6595
25 O 0.9604 0.6154 0.7114
26 O 0.6484 0.3516 0.0000
27 O 0.3345 0.3318 0.3768
28 O 0.6743 0.6634 0.0475
29 O 0.3690 0.6310 0.0000
30 O 0.6201 0.9497 0.7190

Results
The formation energy is -1.386 eV per atom. As for the energy with MP2020 corrections: -0.42241 Ry per atom. As for the crystal system: monoclinic.


# 8
Density functional theory data (PBE) for a relaxed AgSbO3 crystal.

Cell lengths 6.4933, 6.4933, 6.4933 Å; angles 49.31, 49.31, 49.31 degrees
Atoms (fractional coordinates):
1 Ag 0.3616 0.3616 0.3616
2 Ag 0.6384 0.6384 0.6384
3 Sb 0.1629 0.1629 0.1629
4 Sb 0.8371 0.8371 0.8371
5 O 0.4406 0.8149 0.0446
6 O 0.9554 0.5594 0.1851
7 O 0.1851 0.9554 0.5594
8 O 0.8149 0.0446 0.4406
9 O 0.0446 0.4406 0.8149
10 O 0.5594 0.1851 0.9554

Results
The formation energy is -1.430 eV per atom. As for the energy with MP2020 corrections: -0.42562 Ry per atom. As for the crystal system: trigonal.


# 9
Density functional theory data (PBE) for a relaxed Ag3SbO4 crystal.

Cell lengths 7.2828, 7.2828, 8.8115 Å; angles 90.00, 90.00, 90.00 degrees
Atoms (fractional coordinates):
1 Ag 0.7370 0.0000 0.7500
2 Ag 0.2630 0.0000 0.2500
3 Ag 0.0000 0.2630 0.5000
4 Ag 0.0000 0.7370 0.0000
5 Ag 0.1803 0.0000 0.7500
6 Ag 0.8197 0.0000 0.2500
7 Ag 0.0000 0.8197 0.5000
8 Ag 0.0000 0.1803 0.0000
9 Ag 0.7995 0.5000 0.7500
10 Ag 0.2005 0.5000 0.2500
11 Ag 0.5000 0.2005 0.5000
12 Ag 0.5000 0.7995 0.0000
13 Sb 0.2796 0.5000 0.7500
14 Sb 0.7204 0.5000 0.2500
15 Sb 0.5000 0.7204 0.5000
16 Sb 0.5000 0.2796 0.0000
17 O 0.4841 0.6950 0.7308
18 O 0.5159 0.3050 0.2308
19 O 0.6950 0.5159 0.4808
20 O 0.3050 0.4841 0.9808
21 O 0.4841 0.3050 0.7692
22 O 0.5159 0.6950 0.2692
23 O 0.3050 0.5159 0.5192
24 O 0.6950 0.4841 0.0192
25 O 0.0861 0.3052 0.7345
26 O 0.9139 0.6948 0.2345
27 O 0.3052 0.9139 0.4845
28 O 0.6948 0.0861 0.9845
29 O 0.0861 0.6948 0.7655
30 O 0.9139 0.3052 0.2655
31 O 0.6948 0.9139 0.5155
32 O 0.3052 0.0861 0.0155

Results
The formation energy is -1.000 eV per atom. As for the energy with MP2020 corrections: -0.37134 Ry per atom. As for the crystal system: tetragonal.